# PBE SbPCl6O2, relaxed
# Energy relative to the elements, eV/atom: -1.1938
data_SbPCl6O2
_cell_length_a 8.9159
_cell_length_b 12.0549
_cell_length_c 11.3770
_cell_angle_alpha 90.00
_cell_angle_beta 108.79
_cell_angle_gamma 90.00
_space_group_name_H-M_alt 'P 1 21/c 1'
_space_group_IT_number 14
_space_group_name_Hall '-P 2ybc'
loop_
_atom_site_label
_atom_site_type_symbol
_atom_site_fract_x
_atom_site_fract_y
_atom_site_fract_z
Sb1 Sb 0.1907 0.0386 0.2295
P1 P 0.1901 0.5941 0.4585
Cl1 Cl 0.0418 0.6259 0.7149
Cl2 Cl 0.1398 0.0976 0.4105
Cl3 Cl 0.2823 0.7373 0.5351
Cl4 Cl 0.3117 0.2061 0.2052
Cl5 Cl 0.3152 0.5522 0.3484
Cl6 Cl 0.4348 0.5503 0.8302
O1 O 0.0187 0.6190 0.3817
O2 O 0.2174 0.5024 0.5551


# PBE Na9Al2H27O21, relaxed
# Energy relative to the elements, eV/atom: -1.5999
data_Na9Al2H27O21
_cell_length_a 8.8831
_cell_length_b 11.4951
_cell_length_c 11.7077
_cell_angle_alpha 74.57
_cell_angle_beta 87.96
_cell_angle_gamma 70.80
_space_group_name_H-M_alt 'P -1'
_space_group_IT_number 2
_space_group_name_Hall '-P 1'
loop_
_atom_site_label
_atom_site_type_symbol
_atom_site_fract_x
_atom_site_fract_y
_atom_site_fract_z
Na1 Na 0.0072 0.4010 0.1203
Na2 Na 0.2036 0.3200 0.3687
Na3 Na 0.2063 0.3233 0.8677
Na4 Na 0.3942 0.7743 0.1202
Na5 Na 0.4026 0.5148 0.3803
Na6 Na 0.4056 0.0336 0.3662
Na7 Na 0.4089 0.7771 0.6197
Na8 Na 0.4179 0.0315 0.8620
Na9 Na 0.4265 0.5084 0.8715
Al1 Al 0.4037 0.2751 0.1227
Al2 Al 0.4124 0.2738 0.6267
H1 H 0.0017 0.0575 0.2015
H2 H 0.0133 0.0903 0.6795
H3 H 0.0286 0.4738 0.6880
H4 H 0.0432 0.7913 0.9439
H5 H 0.0561 0.7460 0.4716
H6 H 0.0740 0.7184 0.0830
H7 H 0.1167 0.6085 0.2392
H8 H 0.1209 0.0239 0.5341
H9 H 0.1247 0.0372 0.0096
H10 H 0.1253 0.5902 0.5290
H11 H 0.1375 0.6873 0.6715
H12 H 0.1450 0.4051 0.5340
H13 H 0.1459 0.7344 0.2717
H14 H 0.1475 0.9366 0.4445
H15 H 0.1521 0.7626 0.7688
H16 H 0.1602 0.9415 0.9279
H17 H 0.1621 0.2221 0.6839
H18 H 0.1936 0.1697 0.1872
H19 H 0.2341 0.4997 0.0371
H20 H 0.2979 0.4521 0.2134
H21 H 0.3148 0.8701 0.2957
H22 H 0.3158 0.1334 0.0373
H23 H 0.3267 0.1254 0.5570
H24 H 0.3276 0.4593 0.6909
H25 H 0.3284 0.8793 0.7866
H26 H 0.3287 0.7169 0.4451
H27 H 0.3302 0.7180 0.9347
O1 O 0.0062 0.7316 0.0121
O2 O 0.0353 0.5245 0.2427
O3 O 0.0465 0.6709 0.5401
O4 O 0.0795 0.8599 0.3754
O5 O 0.0977 0.8799 0.8388
O6 O 0.1909 0.6718 0.2254
O7 O 0.1972 0.6800 0.7448
O8 O 0.2048 0.9731 0.4935
O9 O 0.2111 0.9698 0.9882
O10 O 0.2389 0.2230 0.2167
O11 O 0.2397 0.4240 0.0125
O12 O 0.2431 0.4261 0.5279
O13 O 0.2621 0.2108 0.7231
O14 O 0.3988 0.1691 0.5168
O15 O 0.3994 0.3823 0.2301
O16 O 0.4005 0.1699 0.0155
O17 O 0.4143 0.3834 0.7320
O18 O 0.4221 0.8670 0.2716
O19 O 0.4370 0.6681 0.9700
O20 O 0.4381 0.6669 0.4749
O21 O 0.4400 0.8664 0.7684


# PBE CeUCN, relaxed
# Energy relative to the elements, eV/atom: -0.8479
data_CeUCN
_cell_length_a 3.5098
_cell_length_b 3.5098
_cell_length_c 5.0453
_cell_angle_alpha 90.00
_cell_angle_beta 90.00
_cell_angle_gamma 90.00
_space_group_name_H-M_alt 'P 4/m m m'
_space_group_IT_number 123
_space_group_name_Hall '-P 4 2'
loop_
_atom_site_label
_atom_site_type_symbol
_atom_site_fract_x
_atom_site_fract_y
_atom_site_fract_z
Ce1 Ce 0.0000 0.0000 0.0000
U1 U 0.5000 0.5000 0.5000
C1 C 0.0000 0.0000 0.5000
N1 N 0.5000 0.5000 0.0000


# PBE K4Sb2O5, relaxed
# Energy relative to the elements, eV/atom: -1.7400
data_K4Sb2O5
_cell_length_a 6.4757
_cell_length_b 3.9310
_cell_length_c 18.5710
_cell_angle_alpha 90.00
_cell_angle_beta 90.00
_cell_angle_gamma 90.00
_space_group_name_H-M_alt 'A m m 2'
_space_group_IT_number 38
_space_group_name_Hall 'A 2 -2'
loop_
_atom_site_label
_atom_site_type_symbol
_atom_site_fract_x
_atom_site_fract_y
_atom_site_fract_z
K1 K 0.0000 0.0000 0.0000
K2 K 0.0000 0.0000 0.3335
K3 K 0.5000 0.0000 0.1952
K4 K 0.5000 0.0000 0.8599
Sb1 Sb 0.0000 0.0000 0.6803
Sb2 Sb 0.5000 0.0000 0.5100
O1 O 0.2281 0.0000 0.7493
O2 O 0.2690 0.0000 0.4445
O3 O 0.5000 0.0000 0.0485


# PBE ZrI4, relaxed
# Energy relative to the elements, eV/atom: -1.2024
data_ZrI4
_cell_length_a 8.0315
_cell_length_b 8.1847
_cell_length_c 16.9413
_cell_angle_alpha 90.27
_cell_angle_beta 95.22
_cell_angle_gamma 91.08
_space_group_name_H-M_alt 'P -1'
_space_group_IT_number 2
_space_group_name_Hall '-P 1'
loop_
_atom_site_label
_atom_site_type_symbol
_atom_site_fract_x
_atom_site_fract_y
_atom_site_fract_z
Zr1 Zr 0.1155 0.3388 0.1933
Zr2 Zr 0.3648 0.6236 0.3911
I1 I 0.0278 0.3978 0.8807
I2 I 0.0629 0.7730 0.3690
I3 I 0.1686 0.8500 0.7997
I4 I 0.1865 0.2892 0.3623
I5 I 0.2802 0.1546 0.0933
I6 I 0.3266 0.5829 0.5591
I7 I 0.4297 0.5569 0.2284
I8 I 0.4368 0.1018 0.6057


# PBE MgSc2Cd, relaxed
# Energy relative to the elements, eV/atom: -0.1689
data_MgSc2Cd
_cell_length_a 7.1225
_cell_length_b 7.1225
_cell_length_c 7.1225
_cell_angle_alpha 90.00
_cell_angle_beta 90.00
_cell_angle_gamma 90.00
_space_group_name_H-M_alt 'F m -3 m'
_space_group_IT_number 225
_space_group_name_Hall '-F 4 2 3'
loop_
_atom_site_label
_atom_site_type_symbol
_atom_site_fract_x
_atom_site_fract_y
_atom_site_fract_z
Mg1 Mg 0.0000 0.0000 0.0000
Sc1 Sc 0.2500 0.2500 0.2500
Cd1 Cd 0.0000 0.0000 0.5000


# PBE SnO2, relaxed
# Energy relative to the elements, eV/atom: -1.4661
data_SnO2
_cell_length_a 10.7381
_cell_length_b 10.7436
_cell_length_c 10.8626
_cell_angle_alpha 93.91
_cell_angle_beta 90.64
_cell_angle_gamma 94.92
_space_group_name_H-M_alt 'P 1'
_space_group_IT_number 1
_space_group_name_Hall 'P 1'
loop_
_atom_site_label
_atom_site_type_symbol
_atom_site_fract_x
_atom_site_fract_y
_atom_site_fract_z
Sn1 Sn 0.0000 0.0000 0.0000
Sn2 Sn 0.0004 0.9403 0.7148
Sn3 Sn 0.0136 0.3090 0.4811
Sn4 Sn 0.0442 0.5220 0.2590
Sn5 Sn 0.1602 0.1202 0.2224
Sn6 Sn 0.1898 0.2103 0.7484
Sn7 Sn 0.1908 0.9354 0.4683
Sn8 Sn 0.2122 0.7241 0.8480
Sn9 Sn 0.2448 0.4642 0.0032
Sn10 Sn 0.2975 0.7536 0.1931
Sn11 Sn 0.3190 0.2877 0.4568
Sn12 Sn 0.3384 0.0521 0.9724
Sn13 Sn 0.3706 0.5262 0.6905
Sn14 Sn 0.4382 0.8711 0.6971
Sn15 Sn 0.4645 0.5438 0.3805
Sn16 Sn 0.4756 0.0449 0.4098
Sn17 Sn 0.4832 0.2720 0.1444
Sn18 Sn 0.4989 0.2200 0.7580
Sn19 Sn 0.5264 0.6080 0.0004
Sn20 Sn 0.5978 0.9253 0.1403
Sn21 Sn 0.6861 0.6223 0.6989
Sn22 Sn 0.7054 0.9071 0.8340
Sn23 Sn 0.7098 0.8683 0.4650
Sn24 Sn 0.7554 0.5114 0.2297
Sn25 Sn 0.7703 0.2056 0.2394
Sn26 Sn 0.7742 0.1586 0.6078
Sn27 Sn 0.8258 0.6730 0.9789
Sn28 Sn 0.9472 0.6427 0.5385
Sn29 Sn 0.9589 0.8004 0.2525
Sn30 Sn 0.9867 0.4470 0.7796
O1 O 0.0516 0.4969 0.4570
O2 O 0.0578 0.8080 0.5653
O3 O 0.0644 0.8300 0.8444
O4 O 0.0706 0.9649 0.3251
O5 O 0.0990 0.0789 0.8530
O6 O 0.1148 0.0513 0.6079
O7 O 0.1205 0.7095 0.2692
O8 O 0.1270 0.3509 0.8745
O9 O 0.1382 0.4188 0.1435
O10 O 0.1400 0.2736 0.3474
O11 O 0.1406 0.5618 0.7412
O12 O 0.1760 0.2951 0.5867
O13 O 0.1788 0.9763 0.0752
O14 O 0.2042 0.6616 0.0285
O15 O 0.2934 0.2056 0.1044
O16 O 0.2950 0.1072 0.3703
O17 O 0.3159 0.7120 0.6812
O18 O 0.3192 0.8773 0.3391
O19 O 0.3351 0.1049 0.7859
O20 O 0.3359 0.4768 0.5075
O21 O 0.3409 0.5995 0.2688
O22 O 0.3437 0.8795 0.8699
O23 O 0.3563 0.3447 0.7607
O24 O 0.3612 0.9649 0.5619
O25 O 0.3672 0.5833 0.8794
O26 O 0.4211 0.3580 0.3111
O27 O 0.4296 0.4454 0.0592
O28 O 0.4399 0.0075 0.1171
O29 O 0.4559 0.2065 0.5501
O30 O 0.4611 0.7588 0.0966
O31 O 0.4927 0.1963 0.9588
O32 O 0.5203 0.6656 0.5382
O33 O 0.5293 0.7999 0.5244
O34 O 0.5501 0.4849 0.6673
O35 O 0.5693 0.8989 0.3194
O36 O 0.5706 0.0141 0.7683
O37 O 0.5731 0.1653 0.2863
O38 O 0.5753 0.7666 0.7634
O39 O 0.6399 0.0393 0.5131
O40 O 0.6473 0.5329 0.3725
O41 O 0.6683 0.5696 0.8855
O42 O 0.6720 0.3412 0.1481
O43 O 0.6755 0.8307 0.9971
O44 O 0.6780 0.6299 0.1194
O45 O 0.6814 0.2608 0.7290
O46 O 0.7406 0.0592 0.1165
O47 O 0.7761 0.7257 0.5604
O48 O 0.8089 0.8787 0.3134
O49 O 0.8198 0.7563 0.8053
O50 O 0.8335 0.9772 0.6232
O51 O 0.8465 0.2035 0.4309
O52 O 0.8602 0.5288 0.6581
O53 O 0.8704 0.0121 0.8616
O54 O 0.8862 0.3844 0.2692
O55 O 0.9022 0.6427 0.3596
O56 O 0.9091 0.6081 0.1452
O57 O 0.9311 0.5316 0.9284
O58 O 0.9305 0.8345 0.0707
O59 O 0.9422 0.2821 0.6624
O60 O 0.9901 0.1328 0.1406


# PBE Na2Ti2O5, relaxed
# Energy relative to the elements, eV/atom: -3.0107
data_Na2Ti2O5
_cell_length_a 8.9043
_cell_length_b 5.5077
_cell_length_c 12.5311
_cell_angle_alpha 90.00
_cell_angle_beta 104.18
_cell_angle_gamma 90.00
_space_group_name_H-M_alt 'P 1 21/c 1'
_space_group_IT_number 14
_space_group_name_Hall '-P 2ybc'
loop_
_atom_site_label
_atom_site_type_symbol
_atom_site_fract_x
_atom_site_fract_y
_atom_site_fract_z
Na1 Na 0.1200 0.2256 0.0559
Na2 Na 0.3558 0.6962 0.5290
Ti1 Ti 0.0981 0.6960 0.2285
Ti2 Ti 0.4769 0.6731 0.8205
O1 O 0.0544 0.1363 0.7229
O2 O 0.1101 0.7124 0.5963
O3 O 0.2793 0.7491 0.8359
O4 O 0.3893 0.2351 0.0604
O5 O 0.4957 0.1607 0.3018


# PBE Ba2YCu3PbO7, relaxed
# Energy relative to the elements, eV/atom: -2.1354
data_Ba2YCu3PbO7
_cell_length_a 28.8084
_cell_length_b 3.8839
_cell_length_c 3.9052
_cell_angle_alpha 90.00
_cell_angle_beta 97.05
_cell_angle_gamma 90.00
_space_group_name_H-M_alt 'C 1 m 1'
_space_group_IT_number 8
_space_group_name_Hall 'C -2y'
loop_
_atom_site_label
_atom_site_type_symbol
_atom_site_fract_x
_atom_site_fract_y
_atom_site_fract_z
Ba1 Ba 0.0000 0.0000 0.0000
Ba2 Ba 0.2404 0.5000 0.7489
Y1 Y 0.3707 0.5000 0.8709
Cu1 Cu 0.0820 0.5000 0.6119
Cu2 Cu 0.3132 0.0000 0.3146
Cu3 Cu 0.4284 0.0000 0.4281
Pb1 Pb 0.1430 0.0000 0.1452
O1 O 0.0190 0.5000 0.5035
O2 O 0.1457 0.5000 0.7622
O3 O 0.2201 0.0000 0.2335
O4 O 0.3201 0.0000 0.8206
O5 O 0.3203 0.5000 0.3216
O6 O 0.4218 0.0000 0.9221
O7 O 0.4216 0.5000 0.4207